# 1
Density functional theory data (PBE) for a relaxed CaAsH5O6 crystal.

Geometry as POSCAR:
```
CaAsH5O6
1.0
3.354 -7.718 0.000
3.354 7.718 0.000
-3.126 0.000 5.201
Ca As H O
2 2 10 12
direct
0.172 0.828 0.500 Ca
0.828 0.172 0.000 Ca
0.345 0.696 0.016 As
0.696 0.345 0.516 As
0.043 0.378 0.599 H
0.223 0.243 0.730 H
0.243 0.223 0.230 H
0.330 0.464 0.388 H
0.378 0.043 0.099 H
0.464 0.330 0.888 H
0.679 0.851 0.480 H
0.743 0.763 0.651 H
0.763 0.743 0.151 H
0.851 0.679 0.980 H
0.148 0.399 0.750 O
0.185 0.628 0.181 O
0.187 0.294 0.243 O
0.294 0.187 0.743 O
0.382 0.883 0.899 O
0.399 0.148 0.250 O
0.628 0.185 0.681 O
0.634 0.835 0.175 O
0.681 0.830 0.637 O
0.830 0.681 0.137 O
0.835 0.634 0.675 O
0.883 0.382 0.399 O
```

Excess energy over the best structure of this formula in the dataset = 0 kJ/mol of formula units
Energy relative to the elements = -172 kJ per mole of atoms


# 2
Density functional theory data (PBE) for a relaxed Ca5As3HO13 crystal.

Geometry as POSCAR:
```
Ca5As3HO13
1.0
9.922 0.000 0.000
-4.961 8.593 0.000
0.000 0.000 7.009
Ca As H O
10 6 2 26
direct
0.008 0.758 0.000 Ca
0.242 0.250 0.000 Ca
0.250 0.008 0.500 Ca
0.333 0.667 0.251 Ca
0.333 0.667 0.748 Ca
0.667 0.333 0.248 Ca
0.667 0.333 0.751 Ca
0.750 0.992 0.000 Ca
0.758 0.750 0.500 Ca
0.992 0.242 0.500 Ca
0.027 0.398 0.001 As
0.371 0.973 0.001 As
0.398 0.371 0.501 As
0.602 0.629 0.001 As
0.629 0.027 0.501 As
0.973 0.602 0.501 As
0.000 0.000 0.174 H
0.000 0.000 0.674 H
0.000 0.000 0.035 O
0.000 0.000 0.535 O
0.089 0.336 0.808 O
0.092 0.341 0.195 O
0.131 0.600 0.998 O
0.170 0.674 0.500 O
0.247 0.911 0.808 O
0.250 0.908 0.195 O
0.326 0.496 0.500 O
0.336 0.247 0.308 O
0.341 0.250 0.695 O
0.400 0.532 0.998 O
0.468 0.869 0.998 O
0.496 0.170 0.000 O
0.504 0.830 0.500 O
0.532 0.131 0.498 O
0.600 0.468 0.498 O
0.659 0.750 0.195 O
0.664 0.753 0.808 O
0.674 0.504 0.000 O
0.750 0.092 0.695 O
0.753 0.089 0.308 O
0.830 0.326 0.000 O
0.869 0.400 0.498 O
0.908 0.659 0.695 O
0.911 0.664 0.308 O
```

Energy relative to the elements = -257 kJ per mole of atoms


# 3
Density functional theory data (PBE) for a relaxed CaAsH5O6 crystal.

Geometry as POSCAR:
```
CaAsH5O6
1.0
3.118 -8.641 0.000
3.118 8.641 0.000
-1.946 0.000 5.839
Ca As H O
2 2 10 12
direct
0.172 0.828 0.500 Ca
0.828 0.172 0.000 Ca
0.414 0.774 0.204 As
0.774 0.414 0.704 As
0.018 0.190 0.487 H
0.081 0.114 0.821 H
0.114 0.081 0.321 H
0.190 0.018 0.987 H
0.237 0.385 0.860 H
0.283 0.650 0.816 H
0.385 0.237 0.360 H
0.650 0.283 0.316 H
0.785 0.934 0.335 H
0.934 0.785 0.835 H
0.056 0.576 0.713 O
0.071 0.216 0.817 O
0.096 0.951 0.825 O
0.128 0.588 0.209 O
0.216 0.071 0.317 O
0.416 0.697 0.918 O
0.541 0.745 0.377 O
0.576 0.056 0.213 O
0.588 0.128 0.709 O
0.697 0.416 0.418 O
0.745 0.541 0.877 O
0.951 0.096 0.325 O
```

Excess energy over the best structure of this formula in the dataset = 96 kJ/mol of formula units
Energy relative to the elements = -165 kJ per mole of atoms


Question: Which of these has the highest energy relative to the elements?
Answer: number 3